! Na4LaTa3Si4P2O24 (PBE, optimized geometry); values from VASP
! - mass density (g/cm3) = 4.02
! - symmetry = P1
! - calculated total energy (eV per formula unit) = -297.6
! - spin magnetization (μB per cell) = 0.00
! - ΔH_f (0 K) (kJ/mol of formula units) = -11293.1
&SYSTEM
  ibrav = 0, nat = 114, ntyp = 6
/
ATOMIC_SPECIES
Na 22.99 Na.upf
La 138.91 La.upf
Ta 180.95 Ta.upf
Si 28.09 Si.upf
P 30.97 P.upf
O 16.00 O.upf
ATOMIC_POSITIONS crystal
Na 0.6317 0.6245 0.7477
Na 0.9946 0.3697 0.7482
Na 0.3159 0.9747 0.0835
Na 0.0262 0.3439 0.0834
Na 0.9634 0.2926 0.4149
Na 0.7060 0.6777 0.4173
Na 0.0045 0.9941 0.5028
Na 0.9911 0.9909 0.9960
Na 0.6526 0.3183 0.8344
Na 0.6566 0.3233 0.3262
Na 0.3444 0.6646 0.1656
Na 0.3337 0.6705 0.6664
La 0.0098 0.9992 0.3545
La 0.6556 0.3232 0.6826
La 0.6679 0.3378 0.1766
Ta 0.0038 0.0058 0.8586
Ta 0.9946 0.0019 0.6458
Ta 0.9956 0.9968 0.1460
Ta 0.6672 0.3344 0.9778
Ta 0.6702 0.3315 0.4836
Ta 0.3366 0.6670 0.0136
Ta 0.3351 0.6693 0.5212
Ta 0.3311 0.6722 0.3117
Ta 0.3359 0.6697 0.8153
Si 0.2807 0.2889 0.7531
Si 0.7123 0.9915 0.7539
Si 0.9692 0.3329 0.5843
Si 0.6699 0.6359 0.5834
Si 0.9669 0.6324 0.0792
Si 0.6631 0.0309 0.0798
Si 0.3683 0.3375 0.0804
Si 0.6247 0.6636 0.9149
Si 0.0401 0.3780 0.9154
Si 0.3364 0.9591 0.9161
Si 0.6084 0.9597 0.4180
Si 0.0419 0.6553 0.4194
P 0.2951 0.9887 0.2481
P 0.6952 0.7083 0.2516
P 0.0127 0.3045 0.2511
P 0.0148 0.7298 0.7528
P 0.3620 0.0316 0.5799
P 0.3479 0.3958 0.4190
O 0.2182 0.0068 0.3040
O 0.7847 0.7814 0.3093
O 0.9944 0.2132 0.3087
O 0.1771 0.1706 0.8086
O 0.9961 0.8201 0.8063
O 0.8305 0.9997 0.8082
O 0.8065 0.9669 0.6942
O 0.1627 0.1887 0.6947
O 0.0306 0.8326 0.6963
O 0.8047 0.8297 0.1989
O 0.0261 0.1995 0.1974
O 0.1788 0.9722 0.1942
O 0.9131 0.3765 0.6446
O 0.4622 0.0820 0.6359
O 0.6233 0.5372 0.6441
O 0.9240 0.5186 0.1362
O 0.5997 0.0801 0.1372
O 0.4661 0.3850 0.1403
O 0.4668 0.2950 0.0280
O 0.8315 0.5296 0.0264
O 0.7055 0.1713 0.0273
O 0.4665 0.1588 0.5293
O 0.6897 0.5238 0.5279
O 0.8329 0.3045 0.5289
O 0.5260 0.6904 0.9691
O 0.1589 0.4701 0.9715
O 0.3089 0.8404 0.9723
O 0.5095 0.8348 0.4714
O 0.3329 0.4896 0.4716
O 0.1604 0.6649 0.4723
O 0.1367 0.6314 0.3601
O 0.4937 0.8575 0.3591
O 0.3689 0.5024 0.3628
O 0.1368 0.4977 0.8580
O 0.3607 0.8580 0.8602
O 0.5022 0.6377 0.8574
O 0.0027 0.8080 0.4235
O 0.7980 0.9854 0.4196
O 0.1854 0.2238 0.4199
O 0.0206 0.1887 0.9091
O 0.1668 0.9766 0.9084
O 0.8129 0.8310 0.9083
O 0.9802 0.1575 0.5896
O 0.1883 0.0215 0.5858
O 0.8471 0.8199 0.5891
O 0.9847 0.8220 0.0924
O 0.8424 0.0255 0.0925
O 0.1772 0.1585 0.0917
O 0.7091 0.1660 0.7545
O 0.4738 0.3281 0.7553
O 0.8556 0.5521 0.7512
O 0.6676 0.5311 0.2464
O 0.8642 0.3344 0.2460
O 0.4750 0.1339 0.2448
O 0.6383 0.4928 0.9252
O 0.8527 0.3593 0.9245
O 0.5059 0.1453 0.9253
O 0.6252 0.1479 0.4253
O 0.5113 0.3820 0.4247
O 0.8527 0.4768 0.4255
O 0.3228 0.4869 0.0667
O 0.1602 0.6713 0.0651
O 0.5052 0.8424 0.0653
O 0.3341 0.8528 0.5664
O 0.5116 0.6669 0.5681
O 0.1564 0.4902 0.5682
O 0.2947 0.8141 0.2537
O 0.5200 0.7042 0.2540
O 0.1858 0.4784 0.2547
O 0.2851 0.4748 0.7572
O 0.1745 0.7077 0.7577
O 0.5257 0.8151 0.7577
CELL_PARAMETERS angstrom
-5.1390 -7.4874 0.4343
9.0096 -0.7209 -1.1532
2.8805 -0.6681 22.8302

---

! Sc2Al (PBE, optimized geometry); values from VASP
! - mass density (g/cm3) = 3.02
! - symmetry = P6_3/mmc
! - calculated total energy (eV per formula unit) = -17.5
! - ΔH_f (0 K) (kJ/mol of formula units) = -101.6
&SYSTEM
  ibrav = 0, nat = 6, ntyp = 2
/
ATOMIC_SPECIES
Sc 44.96 Sc.upf
Al 26.98 Al.upf
ATOMIC_POSITIONS crystal
Sc 0.0000 0.0000 0.5000
Sc 0.0000 0.0000 0.0000
Sc 0.3333 0.6667 0.7500
Sc 0.6667 0.3333 0.2500
Al 0.3333 0.6667 0.2500
Al 0.6667 0.3333 0.7500
CELL_PARAMETERS angstrom
2.4503 -4.2441 0.0000
2.4503 4.2441 0.0000
0.0000 0.0000 6.1719

---

! CuTeO4 (PBE, optimized geometry); values from VASP
! - mass density (g/cm3) = 5.09
! - symmetry = Imma
! - calculated total energy (eV per formula unit) = -31.2
! - spin magnetization (μB per cell) = 2.00
! - ΔH_f (0 K) (kJ/mol of formula units) = -666.0
&SYSTEM
  ibrav = 0, nat = 12, ntyp = 3
/
ATOMIC_SPECIES
Cu 63.55 Cu.upf
Te 127.60 Te.upf
O 16.00 O.upf
ATOMIC_POSITIONS crystal
Cu 0.0000 0.5000 0.0000
Cu 0.0000 0.0000 0.5000
Te 0.0000 0.5000 0.5000
Te 0.5000 0.5000 0.0000
O 0.8291 0.2976 0.5315
O 0.2615 0.7410 0.9794
O 0.2615 0.2821 0.5206
O 0.2661 0.2976 0.9685
O 0.7339 0.7024 0.0315
O 0.7385 0.2590 0.0206
O 0.7385 0.7179 0.4794
O 0.1709 0.7024 0.4685
CELL_PARAMETERS angstrom
-2.8815 3.0083 4.8001
2.8815 -3.0083 4.8001
2.8815 3.0083 -4.8001